No. 1
This record from Materials Project describes a relaxed structure of DyB4Ru4. The functional is GGA-PBE.

abc: 9.209 9.209 9.209
angles: 131.97 131.97 70.27
Sites, in units of the cell vectors:
1 Dy 0.125 0.375 0.750
2 Dy 0.375 0.125 0.250
3 Dy 0.625 0.875 0.750
4 Dy 0.875 0.625 0.250
5 B 0.067 0.124 0.277
6 B 0.124 0.347 0.057
7 B 0.153 0.376 0.443
8 B 0.210 0.933 0.557
9 B 0.290 0.847 0.723
10 B 0.347 0.790 0.223
11 B 0.376 0.433 0.223
12 B 0.433 0.710 0.057
13 B 0.567 0.290 0.943
14 B 0.624 0.567 0.777
15 B 0.653 0.210 0.777
16 B 0.710 0.153 0.277
17 B 0.790 0.067 0.443
18 B 0.847 0.624 0.557
19 B 0.876 0.653 0.943
20 B 0.933 0.876 0.723
21 Ru 0.038 0.821 0.986
22 Ru 0.052 0.038 0.717
23 Ru 0.164 0.679 0.717
24 Ru 0.179 0.664 0.217
25 Ru 0.321 0.538 0.486
26 Ru 0.336 0.052 0.514
27 Ru 0.448 0.164 0.986
28 Ru 0.462 0.448 0.783
29 Ru 0.538 0.552 0.217
30 Ru 0.552 0.836 0.014
31 Ru 0.664 0.948 0.486
32 Ru 0.679 0.462 0.514
33 Ru 0.821 0.336 0.783
34 Ru 0.836 0.321 0.283
35 Ru 0.948 0.962 0.283
36 Ru 0.962 0.179 0.014

## Properties
Crystal system: tetragonal
SG: I4_1/acd
E: -291.60 eV for the cell shown
Volume: 106 Å³/f.u.

No. 2
This record from Materials Project describes a relaxed structure of Dy9B5S21. The functional is GGA-PBE.

abc: 11.195 11.195 11.195
angles: 94.26 94.26 94.26
Sites, in units of the cell vectors:
1 Dy 0.025 0.808 0.166
2 Dy 0.041 0.653 0.805
3 Dy 0.125 0.513 0.360
4 Dy 0.128 0.358 0.969
5 Dy 0.166 0.025 0.808
6 Dy 0.335 0.472 0.693
7 Dy 0.358 0.969 0.128
8 Dy 0.360 0.125 0.513
9 Dy 0.444 0.832 0.680
10 Dy 0.472 0.693 0.335
11 Dy 0.513 0.360 0.125
12 Dy 0.653 0.805 0.041
13 Dy 0.680 0.444 0.832
14 Dy 0.693 0.335 0.472
15 Dy 0.805 0.041 0.653
16 Dy 0.808 0.166 0.025
17 Dy 0.832 0.680 0.444
18 Dy 0.969 0.128 0.358
19 B 0.131 0.805 0.468
20 B 0.191 0.191 0.191
21 B 0.304 0.630 0.970
22 B 0.365 0.365 0.365
23 B 0.468 0.131 0.805
24 B 0.630 0.970 0.304
25 B 0.691 0.691 0.691
26 B 0.805 0.468 0.131
27 B 0.865 0.865 0.865
28 B 0.970 0.304 0.630
29 S 0.000 0.155 0.896
30 S 0.028 0.145 0.603
31 S 0.070 0.291 0.201
32 S 0.071 0.663 0.545
33 S 0.083 0.416 0.735
34 S 0.145 0.603 0.028
35 S 0.155 0.896 0.000
36 S 0.201 0.070 0.291
37 S 0.207 0.749 0.325
38 S 0.236 0.918 0.580
39 S 0.253 0.342 0.474
40 S 0.282 0.690 0.811
41 S 0.291 0.201 0.070
42 S 0.325 0.207 0.749
43 S 0.342 0.474 0.253
44 S 0.363 0.472 0.942
45 S 0.379 0.637 0.536
46 S 0.411 0.988 0.878
47 S 0.416 0.735 0.083
48 S 0.472 0.942 0.363
49 S 0.474 0.253 0.342
50 S 0.536 0.379 0.637
51 S 0.545 0.071 0.663
52 S 0.580 0.236 0.918
53 S 0.584 0.673 0.806
54 S 0.603 0.028 0.145
55 S 0.637 0.536 0.379
56 S 0.663 0.545 0.071
57 S 0.673 0.806 0.584
58 S 0.690 0.811 0.282
59 S 0.735 0.083 0.416
60 S 0.739 0.960 0.871
61 S 0.749 0.325 0.207
62 S 0.806 0.584 0.673
63 S 0.811 0.282 0.690
64 S 0.871 0.739 0.960
65 S 0.878 0.411 0.988
66 S 0.896 0.000 0.155
67 S 0.918 0.580 0.236
68 S 0.942 0.363 0.472
69 S 0.960 0.871 0.739
70 S 0.988 0.878 0.411

## Properties
Crystal system: trigonal
SG: R3
E: -424.98 eV for the cell shown
Volume: 695 Å³/f.u.

No. 3
This record from Materials Project describes a relaxed structure of Dy5Si3B. The functional is GGA-PBE.

abc: 8.553 8.553 6.337
angles: 90.00 90.00 120.00
Sites, in units of the cell vectors:
1 Dy 0.000 0.240 0.250
2 Dy 0.000 0.760 0.750
3 Dy 0.240 0.000 0.250
4 Dy 0.240 0.240 0.750
5 Dy 0.333 0.667 0.000
6 Dy 0.333 0.667 0.500
7 Dy 0.667 0.333 0.000
8 Dy 0.667 0.333 0.500
9 Dy 0.760 0.000 0.750
10 Dy 0.760 0.760 0.250
11 Si 0.000 0.399 0.750
12 Si 0.000 0.601 0.250
13 Si 0.399 0.000 0.750
14 Si 0.399 0.399 0.250
15 Si 0.601 0.000 0.250
16 Si 0.601 0.601 0.750
17 B 0.000 0.000 0.000
18 B 0.000 0.000 0.500

## Properties
Crystal system: hexagonal
SG: P6_3/mcm
E: -101.49 eV for the cell shown
Volume: 201 Å³/f.u.

No. 4
This record from Materials Project describes a relaxed structure of Dy5Si2B8. The functional is GGA-PBE.

abc: 7.230 7.230 8.090
angles: 90.00 90.00 90.00
Sites, in units of the cell vectors:
1 Dy 0.000 0.000 0.000
2 Dy 0.180 0.320 0.276
3 Dy 0.180 0.320 0.724
4 Dy 0.320 0.820 0.276
5 Dy 0.320 0.820 0.724
6 Dy 0.500 0.500 0.000
7 Dy 0.680 0.180 0.276
8 Dy 0.680 0.180 0.724
9 Dy 0.820 0.680 0.276
10 Dy 0.820 0.680 0.724
11 Si 0.115 0.615 0.000
12 Si 0.385 0.115 0.000
13 Si 0.615 0.885 0.000
14 Si 0.885 0.385 0.000
15 B 0.000 0.000 0.337
16 B 0.000 0.000 0.663
17 B 0.039 0.827 0.500
18 B 0.090 0.590 0.500
19 B 0.173 0.039 0.500
20 B 0.327 0.539 0.500
21 B 0.410 0.090 0.500
22 B 0.461 0.327 0.500
23 B 0.500 0.500 0.337
24 B 0.500 0.500 0.663
25 B 0.539 0.673 0.500
26 B 0.590 0.910 0.500
27 B 0.673 0.461 0.500
28 B 0.827 0.961 0.500
29 B 0.910 0.410 0.500
30 B 0.961 0.173 0.500

## Properties
Crystal system: tetragonal
SG: P4/mbm
E: -194.82 eV for the cell shown
Volume: 211 Å³/f.u.

No. 5
This record from Materials Project describes a relaxed structure of DyVB4. The functional is GGA-PBE.

abc: 6.006 11.630 3.452
angles: 90.00 90.00 90.00
Sites, in units of the cell vectors:
1 Dy 0.124 0.152 0.000
2 Dy 0.376 0.652 0.000
3 Dy 0.624 0.348 0.000
4 Dy 0.876 0.848 0.000
5 V 0.127 0.417 0.000
6 V 0.373 0.917 0.000
7 V 0.627 0.083 0.000
8 V 0.873 0.583 0.000
9 B 0.022 0.692 0.500
10 B 0.115 0.548 0.500
11 B 0.136 0.967 0.500
12 B 0.214 0.814 0.500
13 B 0.286 0.314 0.500
14 B 0.364 0.467 0.500
15 B 0.385 0.048 0.500
16 B 0.478 0.192 0.500
17 B 0.522 0.808 0.500
18 B 0.615 0.952 0.500
19 B 0.636 0.533 0.500
20 B 0.714 0.686 0.500
21 B 0.786 0.186 0.500
22 B 0.864 0.033 0.500
23 B 0.885 0.452 0.500
24 B 0.978 0.308 0.500

## Properties
Crystal system: orthorhombic
SG: Pbam
E: -178.70 eV for the cell shown
Volume: 60 Å³/f.u.

No. 6
This record from Materials Project describes a relaxed structure of ErB12. The functional is GGA-PBE.

abc: 5.289 5.289 5.289
angles: 60.00 60.00 60.00
Sites, in units of the cell vectors:
1 Er 0.000 0.000 0.000
2 B 0.162 0.500 0.500
3 B 0.162 0.500 0.838
4 B 0.162 0.838 0.500
5 B 0.500 0.162 0.500
6 B 0.500 0.162 0.838
7 B 0.500 0.500 0.162
8 B 0.500 0.500 0.838
9 B 0.500 0.838 0.162
10 B 0.500 0.838 0.500
11 B 0.838 0.162 0.500
12 B 0.838 0.500 0.162
13 B 0.838 0.500 0.500

## Properties
Crystal system: cubic
SG: Fm-3m
E: -87.99 eV for the cell shown
Volume: 105 Å³/f.u.

No. 7
This record from Materials Project describes a relaxed structure of ErB2. The functional is GGA-PBE.

abc: 3.276 3.276 3.799
angles: 90.00 90.00 120.00
Sites, in units of the cell vectors:
1 Er 0.000 0.000 0.000
2 B 0.333 0.667 0.500
3 B 0.667 0.333 0.500

## Properties
Crystal system: hexagonal
SG: P6/mmm
E: -19.79 eV for the cell shown
Volume: 35 Å³/f.u.

No. 8
This record from Materials Project describes a relaxed structure of ErFeB4. The functional is GGA-PBE.

abc: 5.858 11.319 3.355
angles: 90.00 90.00 90.00
Sites, in units of the cell vectors:
1 Er 0.127 0.150 0.000
2 Er 0.373 0.650 0.000
3 Er 0.627 0.350 0.000
4 Er 0.873 0.850 0.000
5 Fe 0.134 0.411 0.000
6 Fe 0.366 0.911 0.000
7 Fe 0.634 0.089 0.000
8 Fe 0.866 0.589 0.000
9 B 0.023 0.690 0.500
10 B 0.111 0.546 0.500
11 B 0.138 0.968 0.500
12 B 0.216 0.816 0.500
13 B 0.284 0.316 0.500
14 B 0.362 0.468 0.500
15 B 0.389 0.046 0.500
16 B 0.477 0.190 0.500
17 B 0.523 0.810 0.500
18 B 0.611 0.954 0.500
19 B 0.638 0.532 0.500
20 B 0.716 0.684 0.500
21 B 0.784 0.184 0.500
22 B 0.862 0.032 0.500
23 B 0.889 0.454 0.500
24 B 0.977 0.310 0.500

## Properties
Crystal system: orthorhombic
SG: Pbam
E: -174.37 eV for the cell shown
Volume: 56 Å³/f.u.